Entry 1:
A plane-wave DFT calculation with PBE was carried out for a relaxed structure of Na3H5C2O8.

Results
Formation energy from the elements ... -1.74 eV per atom
E ... -5.819 eV per atom

Cell lengths 20.3913, 3.5712, 10.4368 Å; angles 90.00, 106.82, 90.00 degrees
Closest atoms and distances in Å follow each position.
Space group C2/c (No. 15)
Unique sites:
Na 0.0000 0.2467 0.2500  6 O 2.42-2.48
Na 0.1525 0.3387 0.9276  5 O 2.40-2.49, 1 H 2.62
H 0.0000 0.5000 0.0000  2 O 1.22
H 0.1913 0.0813 0.2574  1 O 1.00
H 0.2400 0.2752 0.6371  1 O 0.99
C 0.0934 0.2401 0.6055  3 O 1.28-1.33
O 0.0543 0.3794 0.4903  1 H 1.22, 1 C 1.33
O 0.0727 0.2472 0.7100  1 C 1.28
O 0.1521 0.1045 0.6040  1 C 1.30
O 0.2118 0.1590 0.3531  2 H 0.99-1.00

=====

Entry 2:
A plane-wave DFT calculation with PBE was carried out for a relaxed structure of Na2H2CO4.

Results
Formation energy from the elements ... -1.81 eV per atom
E ... -5.776 eV per atom

Cell lengths 10.7771, 5.2819, 6.4891 Å; angles 90.00, 90.00, 90.00 degrees
Closest atoms and distances in Å follow each position.
Space group Pca2_1 (No. 29)
Unique sites:
Na 0.0012 0.1219 0.0000  5 O 2.30-2.53
Na 0.1932 0.6395 0.9354  6 O 2.33-2.59
H 0.0663 0.3374 0.5835  1 O 0.99
H 0.0906 0.3998 0.3535  1 O 1.01
C 0.2451 0.1020 0.2211  3 O 1.29-1.31
O 0.0291 0.4318 0.4678  2 H 0.99-1.01
O 0.1375 0.0470 0.7344  1 C 1.30
O 0.1625 0.9246 0.2325  1 C 1.29
O 0.2112 0.3378 0.1962  1 C 1.31

=====

Entry 3:
A plane-wave DFT calculation with PBE was carried out for a relaxed structure of Na3H5C2O8.

Results
Formation energy from the elements ... -1.74 eV per atom
E ... -5.818 eV per atom
Size of the total moment ... 0.000 μB per atom

Cell lengths 20.2130, 3.6685, 10.4907 Å; angles 90.00, 106.71, 90.00 degrees
Closest atoms and distances in Å follow each position.
Space group C2 (No. 5)
Unique sites:
Na 0.0000 0.0000 0.0000  6 O 2.46-2.47
Na 0.0000 0.4939 0.5000  6 O 2.39-2.51
Na 0.1483 0.5768 0.1802  5 O 2.41-2.46, 1 H 2.66
Na 0.1506 0.9254 0.6699  5 O 2.39-2.48, 1 H 2.57
H 0.0081 0.7442 0.7512  1 O 1.11
H 0.1883 0.3372 0.5054  1 O 1.01
H 0.1888 0.1577 0.0091  1 O 1.00
H 0.2429 0.9792 0.3865  1 O 0.98
H 0.2437 0.5143 0.8829  1 O 0.98
C 0.0907 0.0139 0.3540  3 O 1.28-1.32
C 0.0946 0.4808 0.8569  3 O 1.27-1.35
O 0.0527 0.8823 0.2392  1 C 1.32, 1 H 1.36
O 0.0572 0.6271 0.7409  1 H 1.11
O 0.0686 0.0060 0.4570  1 C 1.28
O 0.0722 0.4980 0.9581  1 C 1.27
O 0.1511 0.1469 0.3576  1 C 1.30
O 0.1522 0.3330 0.8551  1 C 1.29
O 0.2076 0.0776 0.1042  2 H 0.98-1.00
O 0.2079 0.4245 0.6001  2 H 0.98-1.01

=====

Entry 4:
A plane-wave DFT calculation with PBE was carried out for a relaxed structure of NaH3C2O4.

Results
Formation energy from the elements ... -1.37 eV per atom
E ... -6.072 eV per atom
Size of the total moment ... 0.000 μB per atom

Cell lengths 9.1615, 9.4316, 9.7247 Å; angles 83.24, 68.42, 70.18 degrees
Closest atoms and distances in Å follow each position.
Space group P-1 (No. 2)
Unique sites:
Na 0.1719 0.3413 0.1973  6 O 2.40-2.51
Na 0.1924 0.5422 0.4756  6 O 2.36-2.51
Na 0.1969 0.9335 0.3502  6 O 2.32-2.56
H 0.0000 0.5000 0.0000  2 O 1.22
H 0.0436 0.8000 0.9503  1 C 1.11
H 0.1065 0.0147 0.7119  1 O 1.06
H 0.2066 0.2219 0.6163  1 C 1.11
H 0.3413 0.0141 0.9016  1 C 1.11
H 0.3434 0.3738 0.7659  1 C 1.11
H 0.3487 0.5971 0.0039  1 C 1.12
H 0.4338 0.8279 0.5689  1 C 1.11
H 0.4375 0.7989 0.0040  1 O 1.10
H 0.5000 0.5000 0.5000  2 O 1.22
C 0.0222 0.8733 0.8575  1 H 1.11, 1 O 1.24
C 0.1306 0.2167 0.5515  1 H 1.11
C 0.2086 0.4346 0.8141  1 H 1.11
C 0.3022 0.6395 0.1196  1 H 1.12
C 0.4135 0.7282 0.5388  1 H 1.11
C 0.4732 0.9512 0.8425  1 H 1.11, 1 O 1.23
O 0.0758 0.1041 0.5780  1 C 1.28
O 0.0858 0.1250 0.1910  1 C 1.24
O 0.1064 0.3200 0.4601  1 C 1.26
O 0.1221 0.9550 0.8077  1 H 1.06
O 0.1280 0.5066 0.7351  1 C 1.25
O 0.1463 0.4230 0.9569  1 H 1.22, 1 C 1.30
O 0.2302 0.5665 0.2220  1 C 1.25
O 0.2952 0.7419 0.4986  1 C 1.24
O 0.3286 0.7616 0.1339  1 C 1.29, 1 H 1.39
O 0.4430 0.0012 0.2719  1 C 1.23
O 0.4684 0.1774 0.0959  1 H 1.10
O 0.4772 0.3992 0.4508  1 H 1.22, 1 C 1.30

=====

Entry 5:
A plane-wave DFT calculation with PBE was carried out for a relaxed structure of Na2H14CO10.

Results
Formation energy from the elements ... -1.44 eV per atom
E ... -5.217 eV per atom

Cell lengths 7.0659, 14.6384, 19.4293 Å; angles 90.00, 90.00, 90.00 degrees
Closest atoms and distances in Å follow each position.
Space group Pbca (No. 61)
Unique sites:
Na 0.0520 0.0114 0.2285  6 O 2.34-2.48, 1 H 2.61
Na 0.1476 0.0520 0.5553  6 O 2.37-2.52
H 0.0063 0.2145 0.6314  1 O 0.99
H 0.0095 0.0679 0.9029  1 O 0.99
H 0.0094 0.5382 0.4227  1 O 1.00
H 0.0415 0.0854 0.3632  1 O 0.99
H 0.0534 0.6529 0.5037  1 O 1.00
H 0.1100 0.6435 0.0425  1 O 0.99
H 0.1476 0.6573 0.2095  1 O 0.98
H 0.1575 0.6657 0.4311  1 O 0.99
H 0.1681 0.1320 0.7099  1 O 1.00
H 0.1850 0.0041 0.3536  1 O 0.97
H 0.2223 0.6290 0.9730  1 O 1.00
H 0.2225 0.6686 0.2864  1 O 1.00
H 0.2269 0.1529 0.7862  1 O 0.98
H 0.2315 0.2306 0.6243  1 O 0.99
C 0.0990 0.2433 0.8870  3 O 1.30-1.31
O 0.0457 0.7029 0.1229  1 C 1.30
O 0.0486 0.5080 0.6087  2 H 0.99-1.00
O 0.0506 0.0185 0.3554  2 H 0.97-0.99
O 0.0860 0.1738 0.9281  1 C 1.30
O 0.1284 0.5999 0.0042  2 H 0.99-1.00
O 0.1313 0.1839 0.6309  2 H 0.99
O 0.1310 0.6210 0.4678  2 H 0.99-1.00
O 0.1972 0.1022 0.7550  2 H 0.98-1.00
O 0.2004 0.6233 0.2488  2 H 0.98-1.00
O 0.2402 0.7400 0.3562  1 C 1.31